[1]
The following is a PBE+U calculation of a relaxed Fe4O5F3 crystal, from Materials Project.

Output
energy above the most stable polymorph in this dataset: 632.3 meV/atom
formation energy: -120 kJ per mole of atoms
DFT total energy: -0.400 Ry per atom
space group: Pc, No. 7
magnetic moment: 0.06 μB per atom

The structure in extended XYZ format:
```
24
Lattice="-2.8262 -4.5658 2.9620 2.6353 0.8412 3.8112 -6.2454 6.1192 3.4736" Properties=species:S:1:pos:R:3 pbc="T T T"
Fe -0.7110 -1.1348 0.7450
Fe -8.2760 2.6551 5.7193
Fe -3.7399 1.8788 2.5013
Fe -5.2474 -0.3592 3.9635
Fe -4.8627 2.8601 6.1772
Fe -6.2075 0.3689 7.2374
Fe -1.7134 -0.1565 4.4125
Fe -0.3054 1.7995 2.5876
O -6.0370 -0.8002 5.6732
O -0.1014 0.6846 0.9884
O -5.1919 4.3103 4.8403
O -6.5928 2.0251 6.3308
O -2.0672 1.2320 3.1237
O -3.4930 -1.0496 4.5958
O -4.3506 1.1617 7.1408
O 0.1757 0.3697 3.9330
O -4.9257 4.0102 7.7637
O -1.8326 0.9028 6.0579
F -4.6182 1.6057 4.3337
F -1.5326 -1.5138 2.6358
F -2.9273 3.4297 5.6492
F -1.2260 -1.9263 5.4021
F -0.3908 3.0957 4.4183
F -6.3312 1.6032 9.1081
```

=====

[2]
The following is a PBE+U calculation of a relaxed Mn3OF6 crystal, from Materials Project.

Output
energy above the most stable polymorph in this dataset: 0.0 meV/atom
formation energy: -254 kJ per mole of atoms
DFT total energy: -0.454 Ry per atom
space group: P1, No. 1
magnetic moment: 1.30 μB per atom

The structure in extended XYZ format:
```
40
Lattice="3.7590 1.7480 -2.4829 5.1517 1.4905 8.7168 7.9895 -8.1308 2.3169" Properties=species:S:1:pos:R:3 pbc="T T T"
Mn 11.5994 -6.2426 -0.0608
Mn 6.1206 0.2270 -0.5057
Mn 10.1368 -0.1829 5.8563
Mn 12.3335 -6.2579 5.4293
Mn 12.9578 -4.0783 7.9914
Mn 11.2172 -3.0275 5.8137
Mn 9.1114 -2.3282 3.5870
Mn 10.0923 -2.0972 9.0416
Mn 6.3631 0.1015 5.3523
Mn 8.7040 -5.7393 4.7814
Mn 6.7475 -4.7669 2.7644
Mn 5.5235 -1.6799 2.7999
O 9.6314 -1.9709 5.5745
O 11.3084 -3.1145 7.7412
O 8.3180 -4.2361 3.6495
O 4.0691 -2.3675 1.8116
F 10.6056 -4.6092 1.4305
F 11.2525 -2.9993 3.7710
F 8.8426 -3.5283 -0.6239
F 14.7306 -4.7697 8.1351
F 12.6078 -5.3938 3.5601
F 9.3591 -1.7832 1.5718
F 12.9618 -3.8543 5.9115
F 5.9179 -0.3088 1.4128
F 4.2869 0.7645 -0.6751
F 10.2590 -0.3927 7.8036
F 6.2694 1.2846 3.8706
F 7.2700 -1.3239 3.6771
F 8.1269 0.5388 5.8707
F 9.3412 -6.7731 3.2347
F 10.4670 -4.9891 5.4238
F 7.6494 -5.7839 1.2465
F 12.1370 -5.8117 7.4321
F 6.6059 -3.1164 1.5904
F 3.3357 0.1669 2.5102
F 4.8708 -0.7262 4.5322
F 6.4313 -1.6479 6.3949
F 8.3557 -2.7887 8.2852
F 5.5964 0.9322 7.0023
F 7.2775 -0.2684 8.7029
```

=====

[3]
The following is a PBE+U calculation of a relaxed MgNb4Co2O12 crystal, from Materials Project.

Output
energy above the most stable polymorph in this dataset: 13.4 meV/atom
formation energy: -245 kJ per mole of atoms
DFT total energy: -0.589 Ry per atom
space group: P1, No. 1
magnetic moment: 0.32 μB per atom

The structure in extended XYZ format:
```
19
Lattice="6.3765 -0.0278 6.4548 2.1109 4.9708 2.0890 -1.4458 -0.0428 5.7088" Properties=species:S:1:pos:R:3 pbc="T T T"
Mg 3.9789 4.9372 7.6595
Nb 0.6737 4.7741 7.6674
Nb 1.9487 0.1678 2.4152
Nb 5.0952 4.8890 12.0327
Nb 5.4715 2.4176 9.1716
Co 1.4768 2.6872 4.9409
Co 3.4787 2.2159 7.0378
O 3.2225 1.3271 5.2308
O 2.5294 4.0497 3.8687
O 0.3078 0.8804 6.2233
O 5.3787 1.3908 7.5700
O 5.9582 3.5152 10.9825
O 4.5534 3.9584 6.0472
O 2.3817 0.8564 8.0987
O 0.9877 1.5238 3.3161
O 1.7770 3.5286 6.7688
O 4.7333 1.0433 10.4320
O 6.6833 3.8714 8.2300
O 3.8747 3.4305 8.9069
```

=====

[4]
The following is a PBE+U calculation of a relaxed Ba5SrNd2Fe4O15 crystal, from Materials Project.

Output
formation energy: -261 kJ per mole of atoms
DFT total energy: -0.497 Ry per atom
space group: Cc, No. 9
magnetic moment: 0.74 μB per atom

The structure in extended XYZ format:
```
108
Lattice="1.2365 -9.4411 -7.1374 10.8356 -3.4704 -3.4859 0.9844 -8.5346 11.3672" Properties=species:S:1:pos:R:3 pbc="T T T"
Ba 0.5046 -4.3101 5.7078
Ba 11.0746 -5.6400 -0.6106
Ba 3.0182 -10.0796 8.5966
Ba 2.5014 -5.8276 2.9036
Ba 0.0189 -0.0387 0.0267
Ba 8.1802 -11.7570 6.9281
Ba 7.6882 -7.4697 1.1909
Ba 4.2982 -6.5285 -0.5952
Ba 4.7760 -10.8048 5.0829
Ba 3.6165 -14.5758 5.1384
Ba 3.1139 -10.3348 -0.4955
Ba 10.0335 -11.8596 2.2294
Ba 9.5127 -7.5805 -3.4501
Ba 5.4539 -14.6786 0.5023
Ba 4.9645 -10.4391 -5.1952
Ba 1.9895 -15.8643 1.4298
Ba 8.5726 -12.9402 -1.2914
Ba 8.0379 -8.6993 -6.9912
Ba 10.6516 -16.3258 -1.1959
Ba 10.1045 -12.0926 -6.9004
Sr 5.3027 -2.7667 -1.0494
Sr 1.6390 -9.6190 3.0533
Sr 7.1269 -13.8303 3.9229
Sr 6.6128 -9.5765 -1.7690
Nd 5.8102 -7.0241 4.6345
Nd 1.1339 -5.3593 -2.6408
Nd 6.3545 -11.1415 1.5473
Nd 5.8452 -6.8848 -4.1428
Nd 11.8310 -15.3282 2.3829
Nd 11.3350 -11.0949 -3.2700
Nd 7.6616 -17.9533 0.8289
Nd 7.1558 -13.6627 -4.8920
Fe 2.8450 -8.0579 5.7185
Fe 2.3419 -3.7973 0.0307
Fe 4.9833 -12.7123 7.6897
Fe 4.4893 -8.4462 2.0054
Fe 7.3150 -5.3398 -1.5853
Fe 7.8387 -9.5903 4.0993
Fe 3.3797 -12.3610 2.4141
Fe 2.8637 -8.1113 -3.2896
Fe 10.2369 -14.1084 5.0415
Fe 9.7260 -9.8120 -0.6651
Fe 8.7575 -14.8872 1.2884
Fe 8.2813 -10.6100 -4.3891
Fe 5.3319 -12.5858 -2.3207
Fe 5.8177 -16.8164 3.3445
Fe 10.8298 -18.4224 1.7155
Fe 10.3067 -14.1743 -3.9799
O 1.7799 -6.5587 6.0254
O 1.2975 -2.2853 0.3456
O 4.4341 -8.0443 6.7602
O 3.8744 -3.8545 1.1267
O 1.3275 -5.4032 0.0820
O 1.8784 -9.6695 5.8638
O 7.3374 -8.9416 5.8139
O 6.8889 -4.7847 0.1758
O 3.6511 -8.1133 3.9699
O 3.0090 -3.9392 -1.7707
O 5.5902 -10.8156 7.6971
O 5.1347 -6.5464 2.1131
O 9.5122 -8.9695 3.5958
O 8.9734 -4.6766 -2.1261
O 3.1894 -12.3298 6.8695
O 5.7991 -4.8188 -2.6601
O 6.3340 -8.9815 3.0709
O 2.7594 -8.0029 1.1238
O 5.9061 -13.2070 6.0335
O 5.4316 -8.9287 0.3566
O 3.3403 -6.2702 -3.5643
O 3.9541 -10.5399 2.1344
O 7.6548 -11.4351 3.8273
O 7.1848 -7.1930 -1.8319
O 10.8659 -12.3834 5.3614
O 10.3538 -8.1005 -0.3169
O 1.6384 -7.9129 -1.8504
O 2.1843 -12.2844 3.8826
O 8.7460 -14.5231 6.1365
O 8.2297 -10.2519 0.4387
O 4.5535 -8.7907 -2.8488
O 5.0472 -13.0960 2.8514
O 11.5988 -15.4239 5.1235
O 11.0836 -11.0860 -0.6430
O 2.6025 -13.2128 0.9468
O 2.0978 -9.0078 -4.7210
O 6.0843 -16.1598 5.1190
O 5.5808 -11.9184 -0.5639
O 9.6431 -14.4074 3.2354
O 9.1160 -10.1485 -2.4877
O 7.2239 -8.9281 -4.3785
O 7.7095 -13.1995 1.3027
O 9.9386 -9.8102 -5.1905
O 10.3807 -14.1123 0.5214
O 4.0626 -16.5871 2.7863
O 3.5796 -12.3420 -2.9067
O 7.1829 -15.9243 2.2733
O 6.6536 -11.6934 -3.3982
O 7.5365 -11.3079 -6.0569
O 7.9991 -15.5900 -0.4318
O 9.9003 -16.7575 1.4122
O 9.3893 -12.5018 -4.2785
O 6.4263 -18.5563 3.0818
O 5.9432 -14.3682 -2.5243
O 11.9239 -17.9139 3.1837
O 11.4232 -13.6398 -2.5876
O 9.3626 -19.4949 2.1250
O 8.8298 -15.2649 -3.4896
O 11.8116 -19.1238 0.2985
O 11.2800 -14.8809 -5.4001
```

=====

[5]
The following is a PBE+U calculation of a relaxed Li2Mn3NbO8 crystal, from Materials Project.

Output
energy above the most stable polymorph in this dataset: 0.0 meV/atom
formation energy: -228 kJ per mole of atoms
DFT total energy: -0.543 Ry per atom
space group: Cc, No. 9
magnetic moment: 0.86 μB per atom

The structure in extended XYZ format:
```
28
Lattice="1.8434 -5.6841 0.1041 4.0486 4.3753 -0.4287 1.2829 0.2393 9.8288" Properties=species:S:1:pos:R:3 pbc="T T T"
Li 4.5249 1.2198 8.6296
Li 1.2800 0.2403 9.7214
Li 0.6360 0.1092 4.8076
Li 3.1514 -2.2394 3.8921
Mn 4.8580 -0.0592 1.8296
Mn 1.9568 0.5561 1.9772
Mn 3.9525 2.7266 1.7577
Mn 3.1338 -3.8149 7.0249
Mn 5.1203 -1.6693 6.8356
Mn 2.2309 -0.9997 6.9804
Nb 4.0642 1.1143 4.5553
Nb 3.9697 -2.1233 9.6475
O 5.3072 0.0493 5.4886
O 3.5260 -0.4060 3.2326
O 3.5065 1.0325 0.8842
O 6.2233 -1.2155 2.6506
O 6.8612 -1.1118 7.5658
O 2.3491 0.6150 5.7170
O 5.2772 1.6396 3.1424
O 2.5845 2.1029 3.0657
O 2.1675 -3.9398 0.9169
O 4.2747 2.8662 5.4772
O 4.8214 -3.2462 8.3219
O 2.1799 -2.5490 8.2328
O 3.4160 -2.1867 5.9754
O 4.2810 -1.8252 0.6671
O 4.0858 -0.6589 8.1668
O 1.3625 -1.0790 0.8860
```

=====

[6]
The following is a PBE+U calculation of a relaxed K2ThMo3O12 crystal, from Materials Project.

Output
energy above the most stable polymorph in this dataset: 45.5 meV/atom
formation energy: -236 kJ per mole of atoms
DFT total energy: -0.521 Ry per atom
space group: C2/c, No. 15
magnetic moment: 0.00 μB per atom

The structure in extended XYZ format:
```
36
Lattice="6.0704 9.3413 0.0000 -6.0704 9.3413 0.0000 0.0000 1.1842 5.4120" Properties=species:S:1:pos:R:3 pbc="T T T"
K 1.4134 6.4597 2.6458
K 1.4134 12.8150 0.0602
K -1.4134 13.4071 2.7662
K -1.4134 7.0518 5.3518
Th -4.4738 10.2294 4.0590
Th 4.4738 9.6374 1.3530
Mo -1.1796 10.2294 4.0590
Mo 1.1796 9.6374 1.3530
Mo 1.2853 2.9119 0.6864
Mo 1.2853 16.3628 2.0196
Mo -1.2853 16.9549 4.7256
Mo -1.2853 3.5040 3.3924
O 0.5712 1.6993 1.9912
O 0.5712 17.5754 0.7148
O -0.5712 18.1675 3.4208
O -0.5712 2.2914 4.6972
O -0.2916 11.6536 4.6741
O -0.2916 8.8053 3.4439
O 0.2916 8.2132 0.7379
O 0.2916 11.0615 1.9681
O 0.2204 4.9676 4.9619
O 0.2204 15.4913 3.1561
O -0.2204 14.8992 0.4501
O -0.2204 4.3755 2.2559
O -3.6281 13.3837 1.3485
O -3.6281 5.8910 1.3575
O 3.6281 6.4831 4.0635
O 3.6281 13.9758 4.0545
O -2.5054 10.8153 2.9056
O -2.5054 9.6436 5.2124
O 2.5054 9.0515 2.5064
O 2.5054 10.2232 0.1996
O 3.8605 7.5429 0.4083
O 3.8605 11.7318 2.2977
O -3.8605 12.3239 5.0037
O -3.8605 8.1350 3.1143
```

=====

[7]
The following is a PBE+U calculation of a relaxed MgFe2Cu2O4 crystal, from Materials Project.

Output
formation energy: -123 kJ per mole of atoms
DFT total energy: -0.414 Ry per atom
space group: P3m1, No. 156
magnetic moment: 1.05 μB per atom

The structure in extended XYZ format:
```
9
Lattice="-0.9614 2.0224 2.0559 -1.8035 -2.3042 -0.8243 5.1414 -7.5367 9.8183" Properties=species:S:1:pos:R:3 pbc="T T T"
Mg 1.7885 -5.7160 6.4593
Fe 2.3149 -3.3933 4.4206
Fe 0.1191 -0.1746 0.2274
Cu 2.8770 -5.4579 8.9620
Cu -0.2893 -2.6702 2.4915
O 0.4250 -3.7173 3.8555
O 3.6247 -6.5538 10.3896
O 1.5958 -3.5799 6.5154
O -0.9937 -1.6375 1.1462
```

=====

[8]
The following is a PBE+U calculation of a relaxed FeP4O11 crystal, from Materials Project.

Output
energy above the most stable polymorph in this dataset: 137.0 meV/atom
formation energy: -226 kJ per mole of atoms
DFT total energy: -0.515 Ry per atom
space group: P-1, No. 2
magnetic moment: 0.00 μB per atom

The structure in extended XYZ format:
```
64
Lattice="9.3153 0.0000 0.0000 -0.1266 9.3638 0.0000 -3.3860 -3.5860 9.6357" Properties=species:S:1:pos:R:3 pbc="T T T"
Fe 0.3284 5.4110 4.8274
Fe 5.4743 0.3667 4.8084
Fe 3.5232 3.2396 9.4392
Fe 2.2795 2.5382 0.1965
P 2.9826 1.0933 6.8912
P 2.8201 4.6845 2.7445
P -1.8361 6.1561 7.2617
P 7.6388 -0.3784 2.3740
P 4.9225 6.4577 5.8944
P 0.8802 -0.6800 3.7413
P 2.4846 5.7772 7.4368
P 3.3181 0.0006 2.1990
P -2.2795 3.5423 8.7802
P 8.0822 2.2355 0.8556
P 2.1251 -0.9789 8.9266
P 3.6776 6.7566 0.7091
P 0.5094 1.8818 5.3702
P 5.2934 3.8960 4.2655
P -1.7136 1.0610 7.3202
P 7.5163 4.7167 2.3155
O 6.4255 0.4143 6.6873
O -0.6228 5.3634 2.9484
O 6.8430 7.8262 1.7340
O -1.0403 -2.0484 7.9017
O 2.0263 3.8125 1.8458
O 3.7764 1.9652 7.7899
O 6.3244 4.7169 3.4253
O -0.5217 1.0609 6.2104
O 2.3180 -0.9104 3.1379
O 3.4847 6.6882 6.4978
O 7.2339 0.1855 3.6970
O -1.4312 5.5923 5.9388
O 4.8825 4.9193 5.4270
O 0.9202 0.8584 4.2088
O 4.3864 0.6163 3.0242
O 1.4163 5.1615 6.6115
O 2.4695 0.8080 1.2799
O 3.3332 4.9697 8.3559
O 0.0710 3.1761 4.8257
O 5.7317 2.6016 4.8100
O 5.8518 6.4211 7.1839
O -0.0491 -0.6434 2.4518
O 2.1282 6.7142 0.3080
O 3.6745 -0.9364 9.3277
O 2.0396 0.0459 7.7409
O 3.7631 5.7319 1.8948
O 7.7380 3.0863 2.1447
O -1.9353 2.6915 7.4911
O 6.9586 5.1640 1.0105
O -1.1559 0.6137 8.6252
O 3.6195 0.3217 5.7853
O 2.1832 5.4561 3.8505
O 0.1336 2.3403 0.3294
O 5.6691 3.4375 9.3063
O 4.0083 3.7513 3.3664
O 1.7944 2.0264 6.2693
O 1.2638 2.9355 9.2580
O 4.5389 2.8422 0.3777
O 1.9042 -2.3956 8.2857
O 3.8985 8.1733 1.3501
O -1.8018 4.9838 8.4048
O 7.6045 0.7939 1.2309
O 5.2669 7.4381 4.8493
O 0.5358 -1.6604 4.7864
```